A plane-wave DFT calculation with PBE was carried out for a geometry-optimized BaZnC4S4N4O7 structure.

a = 17.528 Å, b = 17.528 Å, c = 11.105 Å
α = 90.00°, β = 90.00°, γ = 90.00°
Space group I-4 (No. 82)
Unique sites:
Ba  0.231  0.268  0.281 [8 per cell]
Zn  0.000  0.000  0.246 [4 per cell]
Zn  0.000  0.500  0.011 [4 per cell]
C  0.020  0.130  0.559 [8 per cell]
C  0.020  0.866  0.066 [8 per cell]
C  0.030  0.375  0.812 [8 per cell]
C  0.036  0.372  0.311 [8 per cell]
S  0.036  0.196  0.448 [8 per cell]
S  0.055  0.318  0.197 [8 per cell]
S  0.075  0.323  0.703 [8 per cell]
S  0.075  0.777  0.945 [8 per cell]
N  0.004  0.086  0.634 [8 per cell]
N  0.008  0.911  0.141 [8 per cell]
N  0.012  0.415  0.892 [8 per cell]
N  0.021  0.410  0.396 [8 per cell]
O  0.120  0.825  0.863 [8 per cell]
O  0.121  0.214  0.451 [8 per cell]
O  0.121  0.740  0.039 [8 per cell]
O  0.149  0.833  0.282 [8 per cell]
O  0.150  0.685  0.478 [8 per cell]
O  0.158  0.659  0.770 [8 per cell]
O  0.190  0.280  0.999 [8 per cell]

Properties
Electronic total energy   -6.06 eV per atom
Formation energy   -0.1814 eV per atom